Entry P
The following is a PBE calculation of a relaxed structure of Li7Sb2S2, from the Materials Project.

The structure in POSCAR format:
```
Li7Sb2S2
1.0
-4.167 2.641 2.713
-6.333 -3.193 -5.013
-2.250 -6.982 4.796
Li Sb S
14 4 4
direct
0.514 0.178 0.937
0.083 0.740 0.815
0.654 0.725 0.674
0.239 0.616 0.467
0.492 0.047 0.655
0.032 0.133 0.910
0.990 0.065 0.626
0.010 0.935 0.374
0.968 0.867 0.090
0.508 0.953 0.345
0.761 0.384 0.533
0.346 0.275 0.326
0.917 0.260 0.185
0.486 0.822 0.063
0.850 0.452 0.886
0.234 0.337 0.677
0.766 0.663 0.323
0.150 0.548 0.114
0.763 0.946 0.857
0.281 0.848 0.579
0.719 0.152 0.421
0.237 0.054 0.143
```

Computed properties:
Its calculated density is 2.8 g/cm³.

***

Entry Q
The following is a PBE calculation of a relaxed structure of Li7Sb2S2, from the Materials Project.

The structure in POSCAR format:
```
Li7Sb2S2
1.0
7.517 0.000 0.000
0.000 8.700 0.000
0.000 0.000 13.191
Li Sb S
28 8 8
direct
0.169 0.508 0.544
0.169 0.992 0.544
0.758 0.250 0.585
0.811 0.750 0.613
0.051 0.250 0.685
0.585 0.472 0.708
0.585 0.028 0.708
0.085 0.528 0.792
0.085 0.972 0.792
0.551 0.750 0.815
0.311 0.250 0.887
0.258 0.750 0.915
0.669 0.492 0.956
0.669 0.008 0.956
0.331 0.508 0.044
0.331 0.992 0.044
0.742 0.250 0.085
0.689 0.750 0.113
0.449 0.250 0.185
0.915 0.472 0.208
0.915 0.028 0.208
0.415 0.528 0.292
0.415 0.972 0.292
0.949 0.750 0.315
0.189 0.250 0.387
0.242 0.750 0.415
0.831 0.492 0.456
0.831 0.008 0.456
0.427 0.750 0.599
0.396 0.250 0.586
0.896 0.750 0.914
0.927 0.250 0.901
0.073 0.750 0.099
0.104 0.250 0.086
0.604 0.750 0.414
0.573 0.250 0.401
0.899 0.018 0.640
0.899 0.482 0.640
0.399 0.982 0.860
0.399 0.518 0.860
0.601 0.018 0.140
0.601 0.482 0.140
0.101 0.982 0.360
0.101 0.518 0.360
```

Computed properties:
Its calculated density is 2.7 g/cm³.

***

Entry R
The following is a PBE calculation of a relaxed structure of Li7Sb2S2, from the Materials Project.

The structure in POSCAR format:
```
Li7Sb2S2
1.0
5.735 0.000 0.000
2.092 8.693 0.000
2.063 3.379 8.915
Li Sb S
14 4 4
direct
0.559 0.429 0.876
0.092 0.261 0.792
0.552 0.943 0.875
0.067 0.926 0.870
0.360 0.876 0.563
0.797 0.645 0.527
0.596 0.256 0.669
0.404 0.744 0.331
0.203 0.355 0.473
0.640 0.124 0.437
0.933 0.074 0.130
0.448 0.057 0.125
0.908 0.739 0.208
0.441 0.571 0.124
0.893 0.630 0.875
0.257 0.563 0.637
0.743 0.437 0.363
0.107 0.370 0.125
0.735 0.148 0.906
0.339 0.083 0.658
0.661 0.917 0.342
0.265 0.852 0.094
```

Computed properties:
Its calculated density is 2.7 g/cm³.

***

On energetic grounds, entry P is preferred over the next structure by 11 meV per atom.